Entry 1:
Crystalline Na3YTaSi2PO12 at its relaxed geometry, computed with PBE.

Geometry as extended XYZ:
```
120
Lattice="-5.4213 6.5098 3.7123 -0.9139 -8.8104 2.6630 15.2011 3.4679 16.3570" Properties=species:S:1:pos:R:3 pbc="T T T"
Na 1.2929 -0.5375 14.4311
Na 15.0779 3.4423 16.3859
Na 8.7763 4.3221 16.8706
Na 1.0250 2.5334 8.8438
Na 0.1447 -3.0966 5.6162
Na 7.5945 -1.4174 13.9464
Na 0.1882 5.0361 6.6191
Na -2.1299 1.7208 9.3273
Na 5.7844 6.0422 16.8146
Na 9.2925 4.8426 13.6597
Na 6.7577 1.0853 11.7216
Na 4.4397 -2.2299 14.4298
Na -2.8472 -1.3765 5.5601
Na 0.6609 -2.5760 2.4053
Na 7.9059 3.6444 20.5365
Na 11.9231 2.6297 16.8693
Na 4.6362 3.4831 7.9997
Na 1.8091 -0.0170 11.2202
Y 5.3361 1.1295 5.7894
Y 6.6758 0.5899 20.2684
Y 6.4843 3.6886 14.6042
Y -1.0419 1.9816 6.3510
Y -2.1473 -3.7301 3.3498
Y 5.5276 -1.9692 11.4535
Ta 3.5351 -0.0227 16.9337
Ta 2.2023 0.5195 2.4478
Ta 11.0185 4.8370 19.3732
Ta 3.3504 3.0785 11.2626
Ta 2.3869 -2.5817 8.1188
Ta 9.9200 -0.8723 16.3652
Si -0.5994 -0.8401 8.6040
Si 3.4287 -1.7465 4.9111
Si 9.5843 1.8318 14.1831
Si 6.6970 -1.5858 17.4493
Si 6.8840 4.0195 11.0436
Si 4.5769 0.8125 13.7260
Si -4.4687 0.9230 6.6410
Si -1.0207 -0.1941 3.5319
Si 13.4536 0.0687 16.1461
Si 11.1465 -3.1382 18.8286
Si 2.1008 -3.0278 11.7436
Si 5.5488 -4.1448 8.6345
P 1.3732 -5.8982 7.7956
P 10.6715 -3.5477 14.2656
P 3.4352 5.4712 13.9475
P -2.4675 4.3538 4.0605
P 10.0048 1.5205 19.0500
P 4.1020 0.4030 9.1630
O 3.5132 2.4785 5.9108
O -0.3471 -0.6661 10.1742
O -0.8436 5.7465 9.0787
O 11.0159 2.4341 14.5664
O 6.2100 2.4317 19.0240
O 7.7826 7.8529 16.2250
O 5.2520 -0.9614 16.8023
O 9.5317 1.7444 12.4602
O 9.7225 -4.7383 13.7541
O -2.1903 -1.4862 8.4292
O 2.5126 -0.9300 3.7318
O 1.2324 -6.7953 6.4708
O 4.6614 5.0375 14.7257
O 7.1363 4.1935 12.6137
O 5.7259 1.7958 14.1812
O -3.0371 1.5253 7.0243
O -1.5077 3.8234 5.1066
O -0.8490 0.4343 4.9706
O -2.4658 0.4303 2.8849
O -4.5212 0.8355 4.9181
O -3.4166 3.1632 3.5490
O 5.2932 3.3734 10.8687
O 3.6608 1.6290 12.5467
O 3.2945 4.5741 12.6226
O 11.2309 1.0868 19.8282
O 13.7059 0.2428 17.7163
O 12.2955 -2.1550 19.2838
O 3.5325 -2.4255 12.1269
O 5.0619 -0.1274 10.2092
O 5.7205 -3.5165 10.0732
O 4.1038 -3.5204 7.9874
O 2.0483 -3.1152 10.0207
O 3.1530 -0.7876 8.6516
O 11.8627 -0.5773 15.9713
O 10.2303 -2.3217 17.6492
O 9.8641 0.6234 17.7252
O 0.0983 0.7638 12.5993
O 1.0035 -2.0641 12.4143
O 4.8607 1.1051 8.0456
O 13.6827 1.5141 15.4819
O 12.8376 4.3639 15.6065
O 8.7695 1.4984 19.9392
O 3.6366 6.9507 13.4285
O 7.9196 2.8396 10.4518
O 3.5647 0.3920 14.9821
O -4.5547 -0.6642 7.1779
O -3.4420 5.4063 4.7248
O 0.2323 0.2080 2.5084
O 7.5817 5.6235 15.0388
O 8.4869 2.7955 14.8539
O 6.0089 3.6641 16.8605
O -0.3702 0.6053 7.9398
O -1.2154 3.4550 8.0644
O 1.0518 2.8901 6.0218
O 10.2061 2.9999 18.5311
O 9.0678 5.3986 19.2667
O 11.0481 5.2516 17.4216
O 2.9287 4.1954 9.6174
O 3.1275 1.4555 9.8274
O 1.3805 2.7670 11.3233
O -1.0499 -1.7952 3.7844
O -0.1447 -4.6232 3.5995
O -2.6227 -3.7546 5.6061
O 6.1993 -3.3455 13.0424
O 5.3542 -0.4957 13.1670
O 7.6213 -1.0607 11.1243
O 1.5745 -4.4187 7.2767
O 0.4362 -2.0200 8.0123
O 2.4165 -2.1671 6.1672
O 9.4983 0.2447 14.7199
O 9.6970 -2.4952 14.9299
O 7.9501 -1.1837 16.4259
```

Results
The calculation puts the magnetic moment at 0.00 μB per cell. The calculation puts the energy of formation at -3036 meV per atom. The energy relative to the lowest polymorph listed for this composition is 0.0039 eV per atom.


Entry 2:
Crystalline Na3YTaSi2PO12 at its relaxed geometry, computed with PBE.

Geometry as extended XYZ:
```
240
Lattice="13.3909 0.0000 -8.9320 0.0000 27.7396 0.0000 -0.2507 0.0000 9.1328" Properties=species:S:1:pos:R:3 pbc="T T T"
Na 3.0731 7.1214 6.9036
Na 3.2093 16.3223 -2.0688
Na 3.2301 25.5214 -2.0843
Na 9.8938 6.7484 -2.1288
Na 9.8002 16.0880 -1.9839
Na 9.7794 25.2871 -1.9684
Na 9.9047 2.4525 -6.5348
Na 9.9255 11.6516 -6.5503
Na 9.7685 20.9912 2.4376
Na 3.1047 2.2182 2.4821
Na 3.0840 11.4173 2.4976
Na 3.1984 20.6182 2.3372
Na 6.4109 0.8740 2.4722
Na 6.4476 10.1384 2.5218
Na 6.4078 19.3570 2.4550
Na 6.5332 8.3826 -2.1114
Na 6.5729 17.6012 -2.0446
Na 6.5362 26.8656 -2.0942
Na 13.1033 5.4872 -2.0110
Na 13.1063 14.7438 -1.9938
Na 13.1430 24.0082 -1.9442
Na 13.2684 3.7314 -6.5106
Na 13.2317 12.9958 -6.5602
Na 13.2286 22.2524 -6.5774
Na 10.9274 17.8594 -5.5007
Na 10.9282 27.1046 -5.4475
Na 2.4970 8.4841 0.9236
Na 2.3716 19.2556 5.4900
Na 10.8029 0.6350 -0.8811
Na 10.8021 9.8802 -0.9343
Na 4.2320 3.9896 -1.0347
Na 4.2328 13.2348 -0.9814
Na 9.1924 22.3539 -3.5424
Na 9.0671 5.3858 1.0240
Na 4.1075 14.5049 3.5850
Na 4.1067 23.7500 3.5317
Y 11.8037 6.9728 0.5965
Y 11.7108 16.1901 0.5211
Y 11.7102 25.3876 0.5589
Y 11.8355 2.3520 -4.0075
Y 11.8362 11.5495 -4.0453
Y 11.9291 20.7669 -3.9699
Y 5.0154 2.3203 4.9872
Y 5.0147 11.5178 5.0249
Y 5.1083 20.8426 5.0626
Y 5.2336 6.8970 0.4962
Y 5.1401 16.2218 0.4585
Y 5.1408 25.4193 0.4208
Ta 1.2687 6.8821 4.1945
Ta 1.2701 16.1575 4.2076
Ta 1.2778 25.4259 4.2062
Ta 1.4031 2.3137 -0.3602
Ta 1.3955 11.5821 -0.3588
Ta 1.3940 20.8575 -0.3719
Ta 7.9656 2.2877 -0.2584
Ta 7.9732 11.5561 -0.2598
Ta 7.9641 20.7520 -0.2715
Ta 8.0895 6.9877 -4.8379
Ta 8.0985 16.1835 -4.8262
Ta 8.0909 25.4519 -4.8248
Si 4.4362 8.1739 3.7313
Si 4.4961 17.4315 3.8218
Si 4.4880 26.6629 3.7830
Si 8.4538 8.4343 1.0185
Si 8.4230 17.6393 1.0090
Si 8.4369 26.9137 1.0102
Si 8.5622 0.8259 -3.5562
Si 8.5483 10.1003 -3.5574
Si 8.5792 19.3053 -3.5479
Si 4.6134 1.0767 -0.7834
Si 4.6214 10.3081 -0.7446
Si 4.5616 19.5657 -0.8351
Si 11.1915 3.5617 -0.6442
Si 11.1834 12.7931 -0.6830
Si 11.1317 22.0437 -0.7348
Si 1.7276 3.7695 5.4751
Si 1.7415 13.0439 5.4762
Si 1.7584 22.3042 5.4845
Si 1.8837 5.4355 0.9181
Si 1.8668 14.6957 0.9098
Si 1.8529 23.9701 0.9087
Si 11.2570 5.6959 -5.3012
Si 11.3088 14.9465 -5.2494
Si 11.3169 24.1779 -5.2106
P -0.0166 8.8585 6.7798
P -0.0603 18.0805 6.7577
P -0.0527 27.3660 6.7552
P 0.0727 0.3736 2.1888
P 0.0650 9.6592 2.1913
P 0.1088 18.8812 2.2134
P 6.6351 4.2107 2.2917
P 6.6427 13.4962 2.2892
P 6.6789 22.7283 2.3138
P 6.8042 5.0114 -2.2526
P 6.7681 14.2434 -2.2772
P 6.7605 23.5290 -2.2747
O 1.6898 5.4588 5.5215
O 1.7233 14.7328 5.5641
O 1.7334 23.9685 5.5392
O 11.0393 5.1831 -0.6134
O 11.1115 14.3999 -0.6954
O 11.0572 23.6706 -0.6712
O 11.1826 4.0690 -5.2376
O 11.2368 13.3397 -5.2618
O 11.1646 22.5565 -5.1798
O 1.8587 3.7711 0.9728
O 1.8486 13.0068 0.9977
O 1.8151 22.2808 0.9551
O 8.4187 0.8630 1.0981
O 8.4288 10.0987 1.0732
O 8.3852 19.3286 1.0555
O 4.4160 0.5301 3.7706
O 4.3618 9.8008 3.7948
O 4.3439 19.0529 3.8526
O 4.4692 8.6867 -0.7138
O 4.4871 17.9388 -0.7716
O 4.5414 27.2095 -0.7958
O 8.5105 8.4110 -3.5109
O 8.5542 17.6409 -3.4932
O 8.5440 26.8766 -3.4683
O 5.8246 4.9327 1.2396
O 5.7823 14.2699 1.3107
O 5.8677 23.5925 1.3880
O 7.3683 5.2488 3.2263
O 7.3710 14.5202 3.2674
O 7.4634 23.6660 3.3471
O 7.5888 4.0736 -1.2193
O 7.4964 13.2195 -1.2990
O 7.4936 22.4908 -1.3401
O 5.9931 4.1471 -3.1784
O 5.9076 13.4697 -3.2557
O 5.9499 22.8069 -3.3268
O 12.4777 0.4001 -3.1553
O 12.5631 9.7227 -3.0780
O 12.5200 18.8025 -3.2264
O 0.6756 0.6504 7.7334
O 0.7680 9.7962 7.8132
O 0.6728 19.1186 7.6923
O 0.7982 8.6210 3.1259
O 0.8933 17.9434 3.2468
O 0.8009 27.0893 3.1670
O 12.6453 8.9371 -7.7928
O 12.6885 18.0169 -7.6444
O 12.6030 27.3396 -7.7217
O 3.1449 7.4876 4.5100
O 3.2091 16.7128 4.5996
O 3.1978 25.9410 4.5576
O 9.7698 7.9246 0.2245
O 9.7243 17.1281 0.2423
O 9.7787 26.5148 0.2043
O 9.9040 1.2249 -4.3621
O 9.8496 10.6115 -4.3241
O 9.8951 19.8150 -4.3419
O 3.3232 1.7987 -0.0088
O 3.3344 11.0268 0.0332
O 3.2702 20.2520 -0.0564
O 9.9045 2.8430 0.1336
O 9.8932 12.0711 0.0915
O 9.8403 21.3574 0.0439
O 3.0289 3.2583 4.7083
O 3.0833 12.6449 4.6703
O 3.0743 21.7944 4.6905
O 3.1997 5.9452 0.1241
O 3.2086 15.0947 0.1039
O 3.1542 24.4813 0.1419
O 9.9656 6.3822 -4.5225
O 10.0186 15.6685 -4.4749
O 10.0299 24.8966 -4.4328
O 4.3258 7.8022 2.1736
O 4.4660 16.8685 2.3349
O 4.5033 26.0435 2.3232
O 8.2764 7.9172 2.6455
O 8.2996 17.1947 2.6958
O 8.3430 26.4148 2.6842
O 8.4683 1.3248 -1.8822
O 8.4249 10.5450 -1.8706
O 8.4018 19.8224 -1.9209
O 4.6287 1.6961 -2.2432
O 4.5914 10.8711 -2.2315
O 4.4512 19.9374 -2.3928
O 11.1615 2.9987 -2.1311
O 11.1988 12.1737 -2.1428
O 11.0213 21.6720 -2.2924
O 1.6041 3.3248 7.1619
O 1.6475 12.5450 7.1503
O 1.5810 21.7871 7.1115
O 1.7064 5.9526 2.5451
O 1.7729 15.1946 2.5839
O 1.7295 24.4148 2.5955
O 11.1466 6.0676 -6.8588
O 11.3241 15.5659 -6.7092
O 11.2868 24.7409 -6.6975
O 5.9142 7.5595 4.3137
O 5.9510 16.8346 4.4828
O 5.9687 26.0361 4.4458
O 7.1385 7.9130 0.2647
O 7.0537 17.2210 0.3079
O 7.0993 26.4523 0.2929
O 7.2246 1.2873 -4.2735
O 7.1790 10.5186 -4.2585
O 7.2638 19.8266 -4.3018
O 6.0941 1.7035 -0.1206
O 6.0764 10.9050 -0.0836
O 6.0396 20.1801 -0.2527
O 12.6465 2.9648 0.0167
O 12.6642 12.1663 -0.0202
O 12.6097 21.4293 -0.1523
O 0.3583 3.3512 4.7739
O 0.4039 12.5825 4.7590
O 0.4431 21.7828 4.7307
O 0.5684 5.9568 0.1643
O 0.5292 15.1571 0.1926
O 0.4836 24.3884 0.2075
O 12.7350 6.3103 -4.7187
O 12.7895 15.5733 -4.5866
O 12.7718 24.7748 -4.5497
O 1.0297 8.0004 6.0160
O 1.1168 17.3329 6.0035
O 1.0396 26.5341 6.0147
O 12.3948 7.9115 -1.4222
O 12.4738 17.0332 -1.4736
O 12.4080 26.4240 -1.3998
O 12.5334 1.3156 -5.9662
O 12.5991 10.7065 -6.0400
O 12.5202 19.8281 -5.9886
O 1.1650 1.2055 1.4483
O 1.2422 10.4068 1.4371
O 1.1550 19.7392 1.4496
O 7.8123 3.4630 1.5375
O 7.7351 12.6643 1.5487
O 7.7251 21.8703 1.5500
O 5.7783 3.1633 2.9925
O 5.7126 12.5542 3.0662
O 5.6994 21.7813 3.0438
O 5.8247 5.9583 -1.5226
O 5.8380 15.1854 -1.5002
O 5.9037 24.5763 -1.5739
O 7.8505 5.8694 -3.0164
O 7.8604 15.0753 -3.0177
O 7.9376 24.2766 -3.0289
```

Results
The calculation puts the magnetic moment at 0.00 μB per cell. The calculation puts the energy of formation at -3040 meV per atom. The energy relative to the lowest polymorph listed for this composition is 0.0000 eV per atom.


no.,raw total energy (eV per formula unit)
1,-150.41
2,-150.48